This record from Materials Project describes crystalline Li2FeCoO4 at its relaxed geometry. The functional is PBE with a Hubbard U.

Structure (POSCAR):
```
Li2FeCoO4
1.0
5.108 0.000 0.000
0.000 2.956 0.000
-1.747 0.000 4.882
Li Fe Co O
2 1 1 4
direct
0.000 0.000 0.000
0.500 0.500 0.000
0.000 0.500 0.500
0.500 0.000 0.500
0.243 0.000 0.732
0.261 0.500 0.273
0.739 0.500 0.727
0.757 0.000 0.268
```

Results
uncorrected energy = -5.842 eV per atom
E above lowest polymorph = 0.00 eV/f.u.
DFT formation energy = -1774 meV per atom
V = 9.2 Å³/atom
total magnetic moment = 8.99 μB/cell

=====

This record from Materials Project describes crystalline Li4FeCo3O8 at its relaxed geometry. The functional is PBE with a Hubbard U.

Structure (POSCAR):
```
Li4FeCo3O8
1.0
5.080 0.000 0.000
0.031 5.540 0.000
0.004 0.030 6.407
Li Fe Co O
4 1 3 8
direct
0.000 0.000 0.000
0.001 0.501 0.250
0.501 0.164 0.750
0.502 0.665 0.498
0.002 0.504 0.749
0.502 0.162 0.250
0.504 0.664 0.004
0.999 0.001 0.501
0.371 0.007 0.488
0.379 0.509 0.763
0.398 0.486 0.238
0.401 0.987 0.012
0.872 0.159 0.261
0.875 0.659 0.994
0.895 0.174 0.736
0.898 0.678 0.504
```

Results
uncorrected energy = -5.701 eV per atom
E above lowest polymorph = 0.00 eV/f.u.
DFT formation energy = -1680 meV per atom
V = 11.3 Å³/atom

=====

This record from Materials Project describes crystalline Li4Fe3Co7O20 at its relaxed geometry. The functional is PBE with a Hubbard U.

Structure (POSCAR):
```
Li4Fe3Co7O20
1.0
6.190 0.000 0.000
0.000 2.984 0.000
-2.710 0.000 19.865
Li Fe Co O
4 3 7 20
direct
0.000 0.000 0.000
0.000 0.500 0.500
0.404 0.000 0.797
0.596 0.000 0.203
0.101 0.000 0.203
0.500 0.000 0.000
0.899 0.000 0.797
0.083 0.500 0.692
0.298 0.500 0.101
0.322 0.000 0.602
0.500 0.500 0.500
0.678 0.000 0.398
0.702 0.500 0.899
0.917 0.500 0.308
0.099 0.000 0.101
0.100 0.500 0.601
0.106 0.000 0.302
0.128 0.500 0.789
0.277 0.500 0.007
0.281 0.000 0.510
0.317 0.000 0.692
0.320 0.500 0.195
0.480 0.500 0.408
0.498 0.000 0.101
0.502 0.000 0.899
0.520 0.500 0.592
0.680 0.500 0.805
0.683 0.000 0.308
0.719 0.000 0.490
0.723 0.500 0.993
0.872 0.500 0.211
0.894 0.000 0.698
0.900 0.500 0.399
0.901 0.000 0.899
```

Results
uncorrected energy = -5.840 eV per atom
DFT formation energy = -1435 meV per atom
V = 10.8 Å³/atom
total magnetic moment = 21.00 μB/cell